The following is a GGA-PBE calculation of Mg2Zr5O12 after structural relaxation, from the Materials Project database.

CIF file:
```
data_Mg2Zr5O12
_cell_length_a 6.167
_cell_length_b 6.236
_cell_length_c 12.562
_cell_angle_alpha 99.34
_cell_angle_beta 99.52
_cell_angle_gamma 98.91
_symmetry_space_group_name_H-M 'P -1'
_symmetry_Int_Tables_number 2
loop_
_symmetry_equiv_pos_as_xyz
'x,y,z'
'-x,-y,-z'
loop_
_atom_site_label
_atom_site_type_symbol
_atom_site_fract_x
_atom_site_fract_y
_atom_site_fract_z
_atom_site_occupancy
Mg1 Mg 0.095 0.136 0.410 1
Mg2 Mg 0.362 0.679 0.954 1
Zr1 Zr 0.117 0.145 0.912 1
Zr2 Zr 0.178 0.392 0.680 1
Zr3 Zr 0.196 0.385 0.179 1
Zr4 Zr 0.363 0.699 0.449 1
Zr5 Zr 0.491 0.993 0.752 1
O1 O 0.060 0.416 0.837 1
O2 O 0.073 0.815 0.459 1
O3 O 0.080 0.819 0.958 1
O4 O 0.081 0.417 0.340 1
O5 O 0.169 0.067 0.710 1
O6 O 0.184 0.053 0.192 1
O7 O 0.316 0.419 0.040 1
O8 O 0.327 0.446 0.546 1
O9 O 0.414 0.673 0.779 1
O10 O 0.415 0.682 0.284 1
O11 O 0.436 0.085 0.410 1
O12 O 0.443 0.108 0.909 1
```

* VASP energy: -8.726 eV per atom

The following is a GGA-PBE calculation of KInSe2 after structural relaxation, from the Materials Project database.

CIF file:
```
data_KInSe2
_cell_length_a 7.544
_cell_length_b 7.544
_cell_length_c 9.738
_cell_angle_alpha 90.00
_cell_angle_beta 90.00
_cell_angle_gamma 90.00
_symmetry_space_group_name_H-M 'I -4 2 d'
_symmetry_Int_Tables_number 122
_symmetry_space_group_name_Hall 'I -4 2bw'
loop_
_atom_site_label
_atom_site_type_symbol
_atom_site_fract_x
_atom_site_fract_y
_atom_site_fract_z
_atom_site_occupancy
K1 K 0.000 0.000 0.000 1
In1 In 0.000 0.000 0.500 1
Se1 Se 0.181 0.250 0.625 1
```

* VASP energy: -3.591 eV per atom

The following is a GGA-PBE calculation of LaTiAlPbO6 after structural relaxation, from the Materials Project database.

CIF file:
```
data_LaTiAlPbO6
_cell_length_a 7.785
_cell_length_b 7.785
_cell_length_c 7.785
_cell_angle_alpha 90.00
_cell_angle_beta 90.00
_cell_angle_gamma 90.00
_symmetry_space_group_name_H-M 'F -4 3 m'
_symmetry_Int_Tables_number 216
_symmetry_space_group_name_Hall 'F -4 2 3'
loop_
_atom_site_label
_atom_site_type_symbol
_atom_site_fract_x
_atom_site_fract_y
_atom_site_fract_z
_atom_site_occupancy
La1 La 0.000 0.000 0.000 1
Ti1 Ti 0.250 0.250 0.250 1
Al1 Al 0.250 0.250 0.750 1
Pb1 Pb 0.000 0.000 0.500 1
O1 O 0.003 0.250 0.750 1
```

* energy above the most stable polymorph in this dataset: 7 meV per atom

The following is a GGA-PBE calculation of AlPS4 after structural relaxation, from the Materials Project database.

CIF file:
```
data_AlPS4
_cell_length_a 5.759
_cell_length_b 5.759
_cell_length_c 9.671
_cell_angle_alpha 90.00
_cell_angle_beta 90.00
_cell_angle_gamma 90.00
_symmetry_space_group_name_H-M 'P -4 2 c'
_symmetry_Int_Tables_number 112
loop_
_symmetry_equiv_pos_as_xyz
'x,y,z'
'y,-x,-z'
'-x,-y,z'
'-y,x,-z'
'x,-y,-z+1/2'
'y,x,z+1/2'
'-x,y,-z+1/2'
'-y,-x,z+1/2'
loop_
_atom_site_label
_atom_site_type_symbol
_atom_site_fract_x
_atom_site_fract_y
_atom_site_fract_z
_atom_site_occupancy
Al1 Al 0.000 0.000 0.250 1
P1 P 0.000 0.500 0.250 1
S1 S 0.197 0.276 0.130 1
```

* VASP energy: -4.869 eV per atom

The following is a GGA-PBE calculation of Ta2Se3 after structural relaxation, from the Materials Project database.

CIF file:
```
data_Ta2Se3
_cell_length_a 6.629
_cell_length_b 3.427
_cell_length_c 9.311
_cell_angle_alpha 90.00
_cell_angle_beta 104.40
_cell_angle_gamma 90.00
_symmetry_space_group_name_H-M 'P 1 21/m 1'
_symmetry_Int_Tables_number 11
loop_
_symmetry_equiv_pos_as_xyz
'x,y,z'
'-x,-y,-z'
'-x,y+1/2,-z'
'x,-y+1/2,z'
loop_
_atom_site_label
_atom_site_type_symbol
_atom_site_fract_x
_atom_site_fract_y
_atom_site_fract_z
_atom_site_occupancy
Ta1 Ta 0.114 0.250 0.135 1
Ta2 Ta 0.322 0.250 0.501 1
Se1 Se 0.028 0.750 0.343 1
Se2 Se 0.272 0.750 0.987 1
Se3 Se 0.477 0.750 0.706 1
```

* VASP energy: -7.572 eV per atom

The following is a GGA-PBE calculation of AuBrO2 after structural relaxation, from the Materials Project database.

CIF file:
```
data_AuBrO2
_cell_length_a 4.845
_cell_length_b 21.431
_cell_length_c 3.621
_cell_angle_alpha 90.00
_cell_angle_beta 94.79
_cell_angle_gamma 90.00
_symmetry_space_group_name_H-M 'C 1 2/c 1'
_symmetry_Int_Tables_number 15
loop_
_symmetry_equiv_pos_as_xyz
'x,y,z'
'-x,-y,-z'
'-x,y,-z+1/2'
'x,-y,z+1/2'
'x+1/2,y+1/2,z'
'-x+1/2,-y+1/2,-z'
'-x+1/2,y+1/2,-z+1/2'
'x+1/2,-y+1/2,z+1/2'
loop_
_atom_site_label
_atom_site_type_symbol
_atom_site_fract_x
_atom_site_fract_y
_atom_site_fract_z
_atom_site_occupancy
Au1 Au 0.250 0.250 0.000 1
Br1 Br 0.000 0.155 0.750 1
O1 O 0.128 0.469 0.764 1
```

* VASP energy: -3.738 eV per atom